No. 1
Entry from Materials Project: a relaxed structure of Ti3N4 (PBE-GGA). Values from VASP.

Summary:
- raw total energy (eV/atom) = -9.463
- SG = No. 62
- ρ (Mg/m³) = 4.68

```
&SYSTEM
  ibrav = 0, nat = 28, ntyp = 2
/
ATOMIC_SPECIES
N 14.01 N.upf
Ti 47.87 Ti.upf
ATOMIC_POSITIONS angstrom
N 0.753 2.247 2.867
Ti 2.259 2.089 1.441
N 0.753 6.935 2.148
Ti 2.259 5.346 6.269
Ti 0.753 8.719 1.254
Ti 2.259 6.777 3.574
N 0.753 1.326 0.160
Ti 0.753 4.031 3.761
Ti 0.753 8.352 5.948
Ti 2.259 0.657 8.776
Ti 0.753 7.287 8.589
Ti 0.753 3.663 9.097
N 2.259 0.081 2.264
N 0.753 4.607 7.279
N 2.259 7.130 7.163
N 0.753 6.014 4.856
N 2.259 8.401 4.686
N 2.259 2.442 7.882
Ti 2.259 1.025 4.082
Ti 2.259 5.713 0.933
N 2.259 3.713 0.329
N 2.259 8.050 9.871
N 2.259 4.769 2.751
N 2.259 3.362 5.175
N 0.753 9.295 7.767
Ti 0.753 2.599 6.456
N 0.753 5.663 9.701
N 0.753 0.975 5.344
CELL_PARAMETERS angstrom
3.012 0.000 0.000
0.000 9.376 0.000
0.000 0.000 10.030
```



No. 2
Entry from Materials Project: a relaxed structure of Ti3N (PBE-GGA). Values from VASP.

Summary:
- raw total energy (eV/atom) = -7.658
- SG = No. 139
- ρ (Mg/m³) = 4.96

```
&SYSTEM
  ibrav = 0, nat = 4, ntyp = 2
/
ATOMIC_SPECIES
Ti 47.87 Ti.upf
N 14.01 N.upf
ATOMIC_POSITIONS angstrom
Ti -1.977 1.508 1.245
N 0.000 0.000 0.000
Ti -0.601 3.820 1.947
Ti 0.120 1.194 2.508
CELL_PARAMETERS angstrom
1.496 3.506 3.210
-2.698 4.133 0.684
-0.654 -4.938 -0.140
```



No. 3
Entry from Materials Project: a relaxed structure of Ti19N25 (PBE-GGA). Values from VASP.

Summary:
- raw total energy (eV/atom) = -9.211
- SG = No. 166
- ρ (Mg/m³) = 4.29

```
&SYSTEM
  ibrav = 0, nat = 44, ntyp = 2
/
ATOMIC_SPECIES
N 14.01 N.upf
Ti 47.87 Ti.upf
ATOMIC_POSITIONS angstrom
N 30.473 17.594 44.838
Ti 12.189 7.037 19.382
N 28.950 16.714 42.413
Ti 28.950 16.714 46.043
N 9.142 5.278 10.669
N 33.521 19.353 49.689
Ti 21.331 12.316 26.788
N 22.855 13.195 32.777
N 36.568 21.112 54.554
N 19.808 11.436 27.628
N 38.092 21.992 56.899
N 10.666 6.158 13.575
Ti 41.139 23.752 58.460
Ti 24.379 14.075 38.772
Ti 22.855 13.195 36.345
Ti 9.142 5.278 14.542
N 7.618 4.398 8.741
N 3.047 1.759 1.456
N 12.189 7.037 15.509
N 4.571 2.639 3.642
N 15.237 8.797 20.343
Ti 10.666 6.158 9.702
N 13.713 7.917 18.415
N 35.044 20.233 52.112
N 27.426 15.834 39.987
Ti 25.902 14.955 41.195
Ti 15.237 8.797 24.096
N 31.997 18.473 47.263
Ti 31.997 18.473 43.632
Ti 39.615 22.872 55.794
Ti 7.618 4.398 4.988
N 16.760 9.677 23.258
Ti 19.808 11.436 31.216
N 21.331 12.316 30.494
Ti 1.524 0.880 2.296
Ti 35.044 20.233 48.481
N 24.379 14.075 35.122
Ti 38.092 21.992 53.331
N 6.095 3.519 5.827
N 18.284 10.556 25.442
Ti 21.331 12.316 33.882
N 39.615 22.872 59.182
N 25.902 14.955 37.564
Ti 36.568 21.112 50.904
CELL_PARAMETERS angstrom
3.047 0.000 0.000
1.524 2.639 0.000
38.092 21.992 60.592
```



No. 4
Entry from Materials Project: a relaxed structure of TiV4N4 (PBE-GGA). Values from VASP.

Summary:
- raw total energy (eV/atom) = -9.652
- SG = No. 2
- ρ (Mg/m³) = 5.62

```
&SYSTEM
  ibrav = 0, nat = 18, ntyp = 3
/
ATOMIC_SPECIES
Ti 47.87 Ti.upf
N 14.01 N.upf
V 50.94 V.upf
ATOMIC_POSITIONS angstrom
Ti -2.107 -10.057 0.758
N 0.588 -3.947 -0.514
Ti -0.453 -2.603 0.610
N -5.115 -4.742 0.764
V -3.379 -5.326 1.153
V 0.819 -7.335 0.215
V -1.505 -7.999 -1.076
V -1.016 -5.254 -0.242
N -3.148 -8.714 1.882
N -0.438 -8.876 0.528
V -1.055 -4.662 2.444
V -1.544 -7.406 1.609
N -2.557 -6.659 -0.003
V 0.401 -9.553 2.285
V -2.961 -3.108 -0.917
N -2.122 -3.785 0.839
N 2.555 -7.918 0.604
N -0.003 -6.001 1.371
CELL_PARAMETERS angstrom
-3.126 -2.122 3.310
-3.013 -3.419 -2.306
3.578 -7.119 0.363
```



No. 5
Entry from Materials Project: a relaxed structure of TiZn2N2 (PBE-GGA). Values from VASP.

Summary:
- raw total energy (eV/atom) = -5.638
- SG = No. 12
- ρ (Mg/m³) = 5.61

```
&SYSTEM
  ibrav = 0, nat = 10, ntyp = 3
/
ATOMIC_SPECIES
Zn 65.41 Zn.upf
Ti 47.87 Ti.upf
N 14.01 N.upf
ATOMIC_POSITIONS angstrom
Zn 2.495 -5.319 -1.341
Ti 1.685 -2.696 -2.325
Ti 4.418 -8.844 -3.283
Zn 0.527 -1.478 0.279
N 1.436 -3.221 -0.518
Zn 5.576 -10.062 -5.887
N 4.668 -8.319 -5.090
Zn 3.608 -6.220 -4.267
N 3.590 -7.325 -2.450
N 2.513 -4.215 -3.158
CELL_PARAMETERS angstrom
0.186 -3.762 -4.154
4.088 -2.183 -3.156
1.829 -5.596 1.702
```



No. 6
Entry from Materials Project: a relaxed structure of Ti2ZnN (PBE-GGA). Values from VASP.

Summary:
- raw total energy (eV/atom) = -7.410
- SG = No. 63
- ρ (Mg/m³) = 5.65

```
&SYSTEM
  ibrav = 0, nat = 8, ntyp = 3
/
ATOMIC_SPECIES
Ti 47.87 Ti.upf
N 14.01 N.upf
Zn 65.41 Zn.upf
ATOMIC_POSITIONS angstrom
Ti 1.493 1.856 3.145
N 1.493 4.931 1.048
Zn 1.493 7.539 3.145
Zn 1.493 -7.539 1.048
Ti 1.493 -4.739 1.048
N 1.493 -4.931 3.145
Ti 1.493 4.739 3.145
Ti 1.493 -1.856 1.048
CELL_PARAMETERS angstrom
1.493 -8.219 0.000
1.493 8.219 0.000
0.000 0.000 4.194
```



No. 7
Entry from Materials Project: a relaxed structure of Ti2ZnN2 (PBE-GGA). Values from VASP.

Summary:
- raw total energy (eV/atom) = -7.067
- SG = No. 115
- ρ (Mg/m³) = 4.18

```
&SYSTEM
  ibrav = 0, nat = 5, ntyp = 3
/
ATOMIC_SPECIES
N 14.01 N.upf
Ti 47.87 Ti.upf
Zn 65.41 Zn.upf
ATOMIC_POSITIONS angstrom
N 0.000 1.570 1.303
Ti 0.000 0.000 5.260
Zn 1.570 1.570 0.000
N 1.570 0.000 6.329
Ti 0.000 0.000 2.372
CELL_PARAMETERS angstrom
3.139 0.000 0.000
0.000 3.139 0.000
0.000 0.000 7.631
```



No. 8
Entry from Materials Project: a relaxed structure of TiZn4N4 (PBE-GGA). Values from VASP.

Summary:
- raw total energy (eV/atom) = -5.387
- SG = No. 2
- ρ (Mg/m³) = 5.43

```
&SYSTEM
  ibrav = 0, nat = 18, ntyp = 3
/
ATOMIC_SPECIES
Zn 65.41 Zn.upf
N 14.01 N.upf
Ti 47.87 Ti.upf
ATOMIC_POSITIONS angstrom
Zn 3.771 6.199 4.471
Zn 2.844 3.733 3.445
Zn 3.266 4.087 6.251
N 7.329 6.818 7.593
Zn 3.832 6.762 7.579
Ti 6.393 6.386 5.954
N 4.183 2.805 4.845
N 1.269 2.520 3.043
Zn 4.781 1.525 3.162
Zn 5.285 3.637 1.383
N 4.369 4.919 2.788
N 3.916 2.092 1.442
Ti 2.158 1.338 1.679
N 4.635 5.633 6.191
N 7.283 5.205 4.590
N 1.223 0.907 0.040
Zn 4.719 0.962 0.055
Zn 5.708 3.991 4.189
CELL_PARAMETERS angstrom
5.488 -0.067 -0.284
1.982 5.216 0.103
1.082 2.575 7.815
```



No. 9
Entry from Materials Project: a relaxed structure of ZrTiN2 (PBE-GGA). Values from VASP.

Summary:
- raw total energy (eV/atom) = -9.890
- SG = No. 123
- ρ (Mg/m³) = 6.24

```
&SYSTEM
  ibrav = 0, nat = 4, ntyp = 3
/
ATOMIC_SPECIES
Ti 47.87 Ti.upf
N 14.01 N.upf
Zr 91.22 Zr.upf
ATOMIC_POSITIONS angstrom
Ti 1.579 1.579 2.230
N 0.000 0.000 2.230
Zr 0.000 0.000 0.000
N 1.579 1.579 0.000
CELL_PARAMETERS angstrom
3.159 0.000 0.000
0.000 3.159 0.000
0.000 0.000 4.460
```



No. 10
Entry from Materials Project: a relaxed structure of ZrTiN2 (PBE-GGA). Values from VASP.

Summary:
- raw total energy (eV/atom) = -9.923
- SG = No. 166
- ρ (Mg/m³) = 6.32

```
&SYSTEM
  ibrav = 0, nat = 4, ntyp = 3
/
ATOMIC_SPECIES
N 14.01 N.upf
Zr 91.22 Zr.upf
Ti 47.87 Ti.upf
ATOMIC_POSITIONS angstrom
N 11.243 0.000 1.996
Zr 7.559 0.000 1.342
Ti 0.000 0.000 0.000
N 3.875 0.000 0.688
CELL_PARAMETERS angstrom
5.198 -1.574 0.000
5.198 1.574 0.000
4.722 0.000 2.684
```



No. 11
Entry from Materials Project: a relaxed structure of TmN (PBE-GGA). Values from VASP.

Summary:
- raw total energy (eV/atom) = -8.228
- SG = No. 225
- ρ (Mg/m³) = 10.90

```
&SYSTEM
  ibrav = 0, nat = 2, ntyp = 2
/
ATOMIC_SPECIES
N 14.01 N.upf
Tm 168.93 Tm.upf
ATOMIC_POSITIONS angstrom
N 0.000 0.000 0.000
Tm -2.406 -2.406 -2.406
CELL_PARAMETERS angstrom
-2.406 -2.406 0.000
-2.406 0.000 -2.406
0.000 -2.406 -2.406
```



Q: Among the records above, which one has the highest raw total energy?
A: TiZn4N4



Q: Which of these has the highest raw total energy?
A: TiZn4N4



Q: ρ of number 6 (Ti2ZnN)?
A: 5.65 Mg/m³